Record 1
Er2B6Ru | r2SCAN | optimized geometry

Cell: 9.0737 11.4361 3.6250 Å, 90.00 90.00 90.00°
Fractional positions:
Er (0.0561, 0.1272, 0.0000)
Er (0.1782, 0.4143, 0.0000)
Er (0.3218, 0.9143, 0.0000)
Er (0.4439, 0.6272, 0.0000)
Er (0.5561, 0.3728, 0.0000)
Er (0.6782, 0.0857, 0.0000)
Er (0.8218, 0.5857, 0.0000)
Er (0.9439, 0.8728, 0.0000)
B (0.0171, 0.2871, 0.5000)
B (0.0537, 0.5669, 0.5000)
B (0.1094, 0.9698, 0.5000)
B (0.1318, 0.8150, 0.5000)
B (0.2089, 0.2340, 0.5000)
B (0.2480, 0.5800, 0.5000)
B (0.2520, 0.0800, 0.5000)
B (0.2911, 0.7340, 0.5000)
B (0.3682, 0.3150, 0.5000)
B (0.3906, 0.4698, 0.5000)
B (0.4463, 0.0669, 0.5000)
B (0.4829, 0.7871, 0.5000)
B (0.5171, 0.2129, 0.5000)
B (0.5537, 0.9331, 0.5000)
B (0.6094, 0.5302, 0.5000)
B (0.6318, 0.6850, 0.5000)
B (0.7089, 0.2660, 0.5000)
B (0.7480, 0.9200, 0.5000)
B (0.7520, 0.4200, 0.5000)
B (0.7911, 0.7660, 0.5000)
B (0.8682, 0.1850, 0.5000)
B (0.8906, 0.0302, 0.5000)
B (0.9463, 0.4331, 0.5000)
B (0.9829, 0.7129, 0.5000)
Ru (0.1377, 0.6789, 0.0000)
Ru (0.3623, 0.1789, 0.0000)
Ru (0.6377, 0.8211, 0.0000)
Ru (0.8623, 0.3211, 0.0000)

Calculated values
- energy relative to the elements (eV/atom) = -0.780
- M_tot (μB/f.u.) = 0.00

Record 2
RbUO3 | r2SCAN | optimized geometry

Cell: 4.3284 4.3284 4.3284 Å, 90.00 90.00 90.00°
Fractional positions:
Rb (0.0000, 0.0000, 0.0000)
U (0.5000, 0.5000, 0.5000)
O (0.0000, 0.5000, 0.5000)
O (0.5000, 0.0000, 0.5000)
O (0.5000, 0.5000, 0.0000)

Calculated values
- energy relative to the elements (eV/atom) = -3.232
- M_tot (μB/f.u.) = 1.00

Record 3
K2NaAlP2 | r2SCAN | optimized geometry

Cell: 8.5948 8.5948 8.5948 Å, 134.73 64.05 137.21°
Fractional positions:
K (0.1764, 0.2420, 0.4184)
K (0.3236, 0.7420, 0.0656)
K (0.6764, 0.2580, 0.9344)
K (0.8236, 0.7580, 0.5816)
Na (0.2500, 0.2500, 0.0000)
Na (0.7500, 0.7500, 0.0000)
Al (0.2500, 0.7500, 0.5000)
Al (0.7500, 0.2500, 0.5000)
P (0.0907, 0.6979, 0.7886)
P (0.4093, 0.1979, 0.6072)
P (0.5907, 0.8021, 0.3928)
P (0.9093, 0.3021, 0.2114)

Calculated values
- energy relative to the elements (eV/atom) = -0.696
- M_tot (μB/f.u.) = 0.00